*a*
## Mn5Cr3O16 (PBE+U)

Data for a geometry-optimized Mn5Cr3O16 structure.

Results
total magnetization: 42.00 μB/cell

Lattice parameters (Å, degrees): 5.834 5.841 19.358 98.60 90.08 119.92
Atoms (fractional coordinates):
Mn: 0.000 0.000 0.000
Mn: 0.000 0.001 0.500
Mn: 0.125 0.751 0.875
Mn: 0.250 0.501 0.750
Mn: 0.251 0.502 0.250
Mn: 0.375 0.251 0.625
Mn: 0.499 0.000 0.000
Mn: 0.626 0.752 0.375
Mn: 0.750 0.501 0.750
Mn: 0.751 0.502 0.250
Cr: 0.000 0.501 0.000
Cr: 0.250 0.001 0.750
Cr: 0.500 0.001 0.500
Cr: 0.500 0.501 0.500
Cr: 0.751 0.002 0.250
Cr: 0.875 0.251 0.125
O: 0.045 0.590 0.192
O: 0.046 0.152 0.192
O: 0.066 0.633 0.699
O: 0.105 0.150 0.691
O: 0.145 0.350 0.059
O: 0.185 0.869 0.051
O: 0.206 0.352 0.559
O: 0.206 0.916 0.559
O: 0.293 0.088 0.941
O: 0.294 0.649 0.941
O: 0.315 0.133 0.449
O: 0.356 0.649 0.441
O: 0.396 0.852 0.809
O: 0.435 0.369 0.801
O: 0.456 0.853 0.309
O: 0.457 0.414 0.309
O: 0.544 0.589 0.691
O: 0.545 0.150 0.691
O: 0.566 0.633 0.199
O: 0.606 0.152 0.192
O: 0.644 0.353 0.559
O: 0.685 0.870 0.551
O: 0.705 0.350 0.059
O: 0.706 0.912 0.058
O: 0.795 0.087 0.441
O: 0.795 0.651 0.441
O: 0.816 0.133 0.949
O: 0.855 0.650 0.941
O: 0.896 0.853 0.309
O: 0.935 0.370 0.301
O: 0.956 0.852 0.809
O: 0.957 0.414 0.809

*b*
## Mn5Cr3O16 (PBE+U)

Data for a geometry-optimized Mn5Cr3O16 structure.

Results
total magnetization: 21.01 μB/cell

Lattice parameters (Å, degrees): 5.819 5.819 8.885 90.42 90.42 59.88
Atoms (fractional coordinates):
Mn: 0.000 0.000 0.000
Mn: 0.168 0.671 0.271
Mn: 0.504 0.504 0.768
Mn: 0.665 0.665 0.498
Mn: 0.671 0.168 0.271
Cr: 0.005 0.501 0.778
Cr: 0.170 0.170 0.281
Cr: 0.501 0.005 0.778
O: 0.161 0.161 0.873
O: 0.161 0.671 0.877
O: 0.288 0.857 0.143
O: 0.337 0.337 0.165
O: 0.337 0.337 0.665
O: 0.378 0.812 0.640
O: 0.499 0.499 0.381
O: 0.500 0.996 0.377
O: 0.663 0.663 0.885
O: 0.671 0.161 0.877
O: 0.807 0.807 0.644
O: 0.812 0.378 0.640
O: 0.855 0.855 0.140
O: 0.857 0.288 0.143
O: 0.996 0.500 0.377
O: 0.997 0.997 0.382

Of them, *b* has the highest stability.

*a*
## Mn3Cr3O8 (PBE+U)

Data for a geometry-optimized Mn3Cr3O8 structure.

Results
total magnetization: 23.00 μB/cell

Lattice parameters (Å, degrees): 6.104 6.104 6.104 59.83 59.83 59.83
Atoms (fractional coordinates):
Mn: 0.000 0.000 0.000
Mn: 0.375 0.375 0.375
Mn: 0.625 0.625 0.625
Cr: 0.000 0.000 0.500
Cr: 0.000 0.500 0.000
Cr: 0.500 0.000 0.000
O: 0.211 0.760 0.760
O: 0.236 0.236 0.236
O: 0.240 0.240 0.789
O: 0.240 0.789 0.240
O: 0.760 0.211 0.760
O: 0.760 0.760 0.211
O: 0.764 0.764 0.764
O: 0.789 0.240 0.240

*b*
## Mn3Cr3O8 (PBE+U)

Data for a geometry-optimized Mn3Cr3O8 structure.

Lattice parameters (Å, degrees): 6.073 6.114 10.477 74.55 73.21 60.23
Atoms (fractional coordinates):
Mn: 0.000 0.000 0.000
Mn: 0.129 0.113 0.626
Mn: 0.315 0.306 0.063
Mn: 0.501 0.499 0.500
Mn: 0.630 0.613 0.126
Mn: 0.815 0.806 0.563
Cr: 0.065 0.557 0.813
Cr: 0.066 0.056 0.313
Cr: 0.066 0.556 0.313
Cr: 0.565 0.056 0.313
Cr: 0.565 0.057 0.813
Cr: 0.565 0.557 0.813
O: 0.150 0.708 0.433
O: 0.194 0.196 0.417
O: 0.204 0.669 0.922
O: 0.209 0.209 0.933
O: 0.421 0.403 0.193
O: 0.426 0.944 0.203
O: 0.436 0.417 0.709
O: 0.481 0.904 0.693
O: 0.649 0.209 0.933
O: 0.693 0.697 0.917
O: 0.705 0.168 0.422
O: 0.710 0.708 0.433
O: 0.921 0.904 0.693
O: 0.925 0.445 0.704
O: 0.937 0.917 0.209
O: 0.982 0.403 0.192

Of them, *b* has the highest stability.

*a*
## MnCrO4 (PBE+U)

Data for a geometry-optimized MnCrO4 structure.

Results
total magnetization: 10.00 μB/cell

Lattice parameters (Å, degrees): 5.135 5.135 6.689 90.00 90.00 113.41
Atoms (fractional coordinates):
Mn: 0.000 0.000 0.000
Mn: 0.000 0.000 0.500
Cr: 0.356 0.644 0.750
Cr: 0.644 0.356 0.250
O: 0.217 0.281 0.750
O: 0.244 0.756 0.550
O: 0.244 0.756 0.950
O: 0.281 0.217 0.250
O: 0.719 0.783 0.750
O: 0.756 0.244 0.050
O: 0.756 0.244 0.450
O: 0.783 0.719 0.250

*b*
## MnCrO4 (PBE+U)

Data for a geometry-optimized MnCrO4 structure.

Results
total magnetization: 20.00 μB/cell

Lattice parameters (Å, degrees): 6.967 6.967 6.961 100.23 100.23 85.53
Atoms (fractional coordinates):
Mn: 0.185 0.815 0.000
Mn: 0.208 0.208 0.368
Mn: 0.792 0.792 0.632
Mn: 0.815 0.185 0.000
Cr: 0.255 0.745 0.500
Cr: 0.274 0.274 0.911
Cr: 0.726 0.726 0.089
Cr: 0.745 0.255 0.500
O: 0.112 0.799 0.681
O: 0.144 0.144 0.037
O: 0.201 0.888 0.319
O: 0.211 0.211 0.670
O: 0.216 0.507 0.976
O: 0.220 0.517 0.396
O: 0.483 0.780 0.604
O: 0.493 0.784 0.024
O: 0.507 0.216 0.976
O: 0.517 0.220 0.396
O: 0.780 0.483 0.604
O: 0.784 0.493 0.024
O: 0.789 0.789 0.330
O: 0.799 0.112 0.681
O: 0.856 0.856 0.963
O: 0.888 0.201 0.319

*c*
## MnCrO4 (PBE+U)

Data for a geometry-optimized MnCrO4 structure.

Results
total magnetization: 20.00 μB/cell

Lattice parameters (Å, degrees): 5.449 8.302 8.349 90.00 125.23 90.00
Atoms (fractional coordinates):
Mn: 0.118 0.045 0.352
Mn: 0.118 0.455 0.852
Mn: 0.882 0.545 0.148
Mn: 0.882 0.955 0.648
Cr: 0.382 0.691 0.643
Cr: 0.382 0.809 0.143
Cr: 0.618 0.191 0.857
Cr: 0.618 0.309 0.357
O: 0.174 0.637 0.081
O: 0.174 0.863 0.581
O: 0.211 0.566 0.457
O: 0.211 0.934 0.957
O: 0.280 0.235 0.800
O: 0.280 0.265 0.300
O: 0.416 0.606 0.840
O: 0.416 0.894 0.340
O: 0.584 0.106 0.660
O: 0.584 0.394 0.160
O: 0.720 0.735 0.700
O: 0.720 0.765 0.200
O: 0.789 0.066 0.043
O: 0.789 0.434 0.543
O: 0.826 0.137 0.419
O: 0.826 0.363 0.919

Of them, *a* has the highest stability.

*a*
## MnCrP2O8 (PBE+U)

Data for a geometry-optimized MnCrP2O8 structure.

Results
total magnetization: 21.00 μB/cell

Lattice parameters (Å, degrees): 8.401 8.401 8.401 61.61 61.61 61.61
Atoms (fractional coordinates):
Mn: 0.000 0.000 0.000
Mn: 0.210 0.210 0.210
Mn: 0.710 0.710 0.710
Cr: 0.355 0.355 0.355
Cr: 0.498 0.498 0.498
Cr: 0.855 0.855 0.855
P: 0.105 0.807 0.404
P: 0.308 0.605 0.902
P: 0.404 0.105 0.807
P: 0.605 0.902 0.308
P: 0.807 0.404 0.105
P: 0.902 0.308 0.605
O: 0.033 0.844 0.252
O: 0.105 0.760 0.916
O: 0.106 0.292 0.450
O: 0.177 0.960 0.366
O: 0.252 0.033 0.844
O: 0.262 0.603 0.420
O: 0.292 0.450 0.106
O: 0.352 0.533 0.747
O: 0.366 0.177 0.960
O: 0.420 0.262 0.603
O: 0.450 0.106 0.292
O: 0.461 0.675 0.868
O: 0.533 0.747 0.352
O: 0.603 0.420 0.262
O: 0.608 0.952 0.791
O: 0.675 0.868 0.461
O: 0.747 0.352 0.533
O: 0.760 0.916 0.105
O: 0.791 0.608 0.952
O: 0.844 0.252 0.033
O: 0.868 0.461 0.675
O: 0.916 0.105 0.760
O: 0.952 0.791 0.608
O: 0.960 0.366 0.177

*b*
## MnCrP2O8 (PBE+U)

Data for a geometry-optimized MnCrP2O8 structure.

Results
total magnetization: 0.00 μB/cell

Lattice parameters (Å, degrees): 4.838 5.885 9.865 90.00 91.73 90.00
Atoms (fractional coordinates):
Mn: 0.070 0.250 0.222
Mn: 0.930 0.750 0.778
Cr: 0.451 0.250 0.725
Cr: 0.549 0.750 0.275
P: 0.096 0.750 0.094
P: 0.392 0.750 0.594
P: 0.608 0.250 0.406
P: 0.904 0.250 0.906
O: 0.155 0.750 0.942
O: 0.213 0.250 0.884
O: 0.253 0.543 0.666
O: 0.253 0.957 0.666
O: 0.256 0.548 0.168
O: 0.256 0.952 0.168
O: 0.290 0.250 0.382
O: 0.332 0.750 0.441
O: 0.668 0.250 0.559
O: 0.710 0.750 0.618
O: 0.744 0.048 0.832
O: 0.744 0.452 0.832
O: 0.747 0.043 0.334
O: 0.747 0.457 0.334
O: 0.787 0.750 0.116
O: 0.845 0.250 0.058

Of them, *b* has the highest stability.

*a*
## Mn3Cr2Te3O16 (PBE+U)

Data for a geometry-optimized Mn3Cr2Te3O16 structure.

Results
total magnetization: 13.46 μB/cell

Lattice parameters (Å, degrees): 6.149 6.149 8.961 91.22 91.22 60.31
Atoms (fractional coordinates):
Mn: 0.000 0.000 0.000
Mn: 0.165 0.656 0.496
Mn: 0.656 0.165 0.496
Cr: 0.149 0.149 0.278
Cr: 0.488 0.488 0.764
Te: 0.001 0.497 0.993
Te: 0.497 0.001 0.993
Te: 0.662 0.662 0.489
O: 0.136 0.136 0.876
O: 0.171 0.664 0.891
O: 0.282 0.879 0.130
O: 0.298 0.298 0.150
O: 0.340 0.768 0.626
O: 0.350 0.350 0.619
O: 0.479 0.479 0.385
O: 0.488 0.999 0.387
O: 0.651 0.651 0.879
O: 0.664 0.171 0.891
O: 0.768 0.340 0.626
O: 0.832 0.832 0.598
O: 0.837 0.837 0.107
O: 0.879 0.282 0.130
O: 0.991 0.991 0.395
O: 0.999 0.488 0.387

*b*
## Mn3Cr2Te3O16 (PBE+U)

Data for a geometry-optimized Mn3Cr2Te3O16 structure.

Results
total magnetization: 19.00 μB/cell

Lattice parameters (Å, degrees): 6.310 6.310 9.153 93.89 93.89 57.18
Atoms (fractional coordinates):
Mn: 0.000 0.000 0.000
Mn: 0.169 0.670 0.505
Mn: 0.670 0.169 0.505
Cr: 0.158 0.158 0.710
Cr: 0.484 0.484 0.237
Te: 0.498 0.999 0.999
Te: 0.666 0.666 0.498
Te: 0.999 0.498 0.999
O: 0.154 0.649 0.108
O: 0.186 0.186 0.119
O: 0.307 0.307 0.871
O: 0.332 0.879 0.870
O: 0.363 0.363 0.378
O: 0.367 0.789 0.363
O: 0.488 0.986 0.609
O: 0.516 0.516 0.608
O: 0.649 0.154 0.108
O: 0.674 0.674 0.106
O: 0.789 0.367 0.363
O: 0.816 0.816 0.887
O: 0.821 0.821 0.405
O: 0.879 0.332 0.870
O: 0.986 0.488 0.609
O: 0.995 0.995 0.614

Of them, *b* has the highest stability.

*a*
## CrN3O8 (PBE+U)

Data for a geometry-optimized CrN3O8 structure.

Results
total magnetization: 37.98 μB/cell

Lattice parameters (Å, degrees): 10.076 10.117 8.032 90.00 90.00 90.00
Atoms (fractional coordinates):
Cr: 0.001 0.247 0.000
Cr: 0.499 0.247 0.500
Cr: 0.501 0.753 0.000
Cr: 0.999 0.753 0.500
N: 0.016 0.758 0.988
N: 0.231 0.511 0.760
N: 0.246 0.989 0.763
N: 0.254 0.989 0.263
N: 0.269 0.511 0.260
N: 0.484 0.758 0.488
N: 0.516 0.242 0.988
N: 0.731 0.489 0.760
N: 0.746 0.011 0.763
N: 0.754 0.011 0.263
N: 0.769 0.489 0.260
N: 0.984 0.242 0.488
O: 0.001 0.949 0.494
O: 0.002 0.441 0.025
O: 0.013 0.091 0.151
O: 0.043 0.385 0.166
O: 0.122 0.267 0.809
O: 0.170 0.747 0.375
O: 0.191 0.234 0.944
O: 0.194 0.746 0.537
O: 0.306 0.746 0.037
O: 0.309 0.234 0.444
O: 0.330 0.747 0.875
O: 0.378 0.267 0.309
O: 0.457 0.385 0.666
O: 0.487 0.091 0.651
O: 0.498 0.441 0.525
O: 0.499 0.949 0.994
O: 0.501 0.051 0.494
O: 0.502 0.559 0.025
O: 0.513 0.909 0.151
O: 0.543 0.615 0.166
O: 0.622 0.733 0.809
O: 0.670 0.253 0.375
O: 0.691 0.766 0.944
O: 0.694 0.254 0.537
O: 0.806 0.254 0.037
O: 0.809 0.766 0.444
O: 0.830 0.253 0.875
O: 0.878 0.733 0.309
O: 0.957 0.615 0.666
O: 0.987 0.909 0.651
O: 0.998 0.559 0.525
O: 0.999 0.051 0.994

*b*
## CrN3O8 (PBE+U)

Data for a geometry-optimized CrN3O8 structure.

Results
total magnetization: 7.00 μB/cell

Lattice parameters (Å, degrees): 6.186 6.186 6.186 114.86 114.86 99.17
Atoms (fractional coordinates):
Cr: 0.000 0.000 0.000
N: 0.250 0.750 0.500
N: 0.500 0.500 0.000
N: 0.750 0.250 0.500
O: 0.013 0.676 0.000
O: 0.204 0.204 0.416
O: 0.212 0.796 0.000
O: 0.324 0.324 0.337
O: 0.676 0.013 0.000
O: 0.788 0.788 0.584
O: 0.796 0.212 0.000
O: 0.987 0.987 0.663

Of them, *b* has the highest stability.